No. 1
## Rb2LiTc2O8 (PBE)

Data for Rb2LiTc2O8 after structural relaxation.

The structure in POSCAR format:
```
Rb2LiTc2O8
1.0
2.813 3.164 6.642
-5.700 0.071 -0.004
0.083 -6.394 -0.002
Rb Li Tc O
2 1 2 8
direct
0.241 0.621 0.372 Rb
0.739 0.369 0.619 Rb
0.321 0.665 0.914 Li
0.746 0.873 0.123 Tc
0.262 0.132 0.880 Tc
0.893 0.723 0.086 O
0.401 0.073 0.154 O
0.585 0.681 0.236 O
0.894 0.170 0.308 O
0.127 0.816 0.707 O
0.402 0.326 0.745 O
0.585 0.904 0.849 O
0.130 0.315 0.922 O
```

## Properties
Total magnetic moment, μB per formula unit: 1.01
Mass density, kg/m³: 3444
ΔE_f, eV per atom: -2.08
Energy above the most stable polymorph in this dataset, meV/atom: 9
SG: P1, No. 1


No. 2
## Rb2Li4UO6 (PBE)

Data for Rb2Li4UO6 after structural relaxation.

The structure in POSCAR format:
```
Rb2Li4UO6
1.0
0.000 0.000 -5.762
-3.080 -5.334 0.000
-3.080 5.334 0.000
Rb Li U O
2 4 1 6
direct
0.551 0.667 0.333 Rb
0.449 0.333 0.667 Rb
0.000 0.500 0.500 Li
0.000 0.000 0.500 Li
0.000 0.500 0.000 Li
0.500 0.000 0.000 Li
0.000 0.000 0.000 U
0.799 0.163 0.326 O
0.201 0.837 0.674 O
0.799 0.163 0.837 O
0.201 0.837 0.163 O
0.799 0.674 0.837 O
0.201 0.326 0.163 O
```

## Properties
Total magnetic moment, μB per formula unit: 0.00
Mass density, kg/m³: 4672
ΔE_f, eV per atom: -2.46
SG: P-3m1, No. 164


No. 3
## Li2ReO3 (PBE)

Data for Li2ReO3 after structural relaxation.

The structure in POSCAR format:
```
Li2ReO3
1.0
-2.268 -1.151 -5.189
-4.326 -3.586 -1.349
-5.265 1.271 -2.016
Li Re O
4 2 6
direct
0.174 0.174 0.174 Li
0.326 0.326 0.326 Li
0.826 0.826 0.826 Li
0.674 0.674 0.674 Li
0.500 0.500 0.500 Re
0.000 0.000 0.000 Re
0.607 0.893 0.250 O
0.893 0.250 0.607 O
0.107 0.750 0.393 O
0.750 0.393 0.107 O
0.393 0.107 0.750 O
0.250 0.607 0.893 O
```

## Properties
Total magnetic moment, μB per formula unit: 0.85
Mass density, kg/m³: 7621
ΔE_f, eV per atom: -1.94
SG: R-3c, No. 167


No. 4
## Li5ReO6 (PBE)

Data for Li5ReO6 after structural relaxation.

The structure in POSCAR format:
```
Li5ReO6
1.0
2.552 -4.420 0.000
2.552 4.420 0.000
0.000 0.000 14.328
Li Re O
15 3 18
direct
0.778 0.222 0.333 Li
0.119 0.881 0.833 Li
0.444 0.888 0.167 Li
0.112 0.556 0.500 Li
0.119 0.238 0.167 Li
0.778 0.555 0.667 Li
0.770 0.230 0.833 Li
0.112 0.556 0.000 Li
0.444 0.556 0.833 Li
0.444 0.888 0.667 Li
0.770 0.540 0.167 Li
0.445 0.222 0.000 Li
0.444 0.556 0.333 Li
0.762 0.881 0.500 Li
0.460 0.230 0.500 Li
0.111 0.889 0.333 Re
0.111 0.221 0.667 Re
0.779 0.889 0.000 Re
0.416 0.528 0.589 O
0.417 0.193 0.256 O
0.776 0.193 0.078 O
0.807 0.583 0.411 O
0.472 0.889 0.923 O
0.776 0.583 0.922 O
0.417 0.224 0.744 O
0.806 0.919 0.743 O
0.111 0.584 0.256 O
0.081 0.194 0.924 O
0.111 0.528 0.744 O
0.081 0.887 0.076 O
0.807 0.224 0.589 O
0.113 0.194 0.409 O
0.472 0.584 0.077 O
0.416 0.889 0.411 O
0.806 0.887 0.257 O
0.113 0.919 0.591 O
```

## Properties
Mass density, kg/m³: 4883
ΔE_f, eV per atom: -2.31
Largest piezoelectric modulus, C/m2: 0.0
SG: P3_112, No. 151


> Among the records above, which one has the highest mass density?

Li2ReO3


> Which formula does entry 1 have?

Rb2LiTc2O8